First-principles (r²SCAN) data for a relaxed structure of Mg2Ag, as listed in the Materials Project database.

Structure (POSCAR):
```
Mg2Ag
1.0
1.7288 -7.0528 0.0000
1.7288 7.0528 0.0000
0.0000 0.0000 4.7085
Mg Ag
4 2
Cartesian
1.7288 6.0292 3.5314
1.7288 3.5853 1.1771
1.7288 -3.5853 3.5314
1.7288 -6.0292 1.1771
1.7288 1.2837 3.5314
1.7288 -1.2837 1.1771
```

Summary:
The calculated formation energy is -0.130 eV/atom. The calculation puts the calculated total energy at -10.03 eV per atom. As for the symmetry: No. 63.